Below is a relaxed SrTcO3 crystal, with properties calculated at the PBE level.

Values from the calculation:
The value obtained for the formation energy from the elements is -2.4534 eV per atom. Its MP2020-corrected energy is -39.161 eV/cell.

Lattice parameters (Å, degrees): 3.982 3.982 3.982 90.00 90.00 90.00
Fractional coordinates of all 5 atoms:
Tc 0.500 0.500 0.500
O 0.500 0.500 0.000
O 0.000 0.500 0.500
O 0.500 0.000 0.500
Sr 0.000 0.000 0.000